[1]
BeClO | PBE-GGA | optimized geometry

Unit cell a=13.775 b=13.775 c=13.775 alpha=11.29 beta=11.29 gamma=11.29
Fractional coordinates of all 6 atoms:
O1 0.865 0.865 0.865
O2 0.135 0.135 0.135
Be1 0.198 0.198 0.198
Be2 0.802 0.802 0.802
Cl1 0.379 0.379 0.379
Cl2 0.621 0.621 0.621

## Properties
- Space-group type: No. 166
- Electronic total energy: -30.331 eV/cell
- ΔE_f: -1772 meV/atom

---

[2]
BeClO | PBE-GGA | optimized geometry

Unit cell a=13.471 b=13.471 c=13.471 alpha=11.54 beta=11.54 gamma=11.54
Fractional coordinates of all 6 atoms:
Cl1 0.379 0.379 0.379
Cl2 0.621 0.621 0.621
O1 0.200 0.200 0.200
O2 0.800 0.800 0.800
Be1 0.134 0.134 0.134
Be2 0.866 0.866 0.866

## Properties
- Space-group type: No. 166
- Electronic total energy: -30.322 eV/cell
- ΔE_f: -1771 meV/atom

---

Volume? In order: 43.54, 42.48 Å³/f.u..